# 1
Rb: optimized geometry, GGA-PBE.

The space group is R-3m (No. 166, hexagonal axes) and the conventional cell measures 5.0749, 5.0749 and 36.7630 Å, with angles of 90.00, 90.00 and 120.00 degrees. The inequivalent atoms are Rb at (0.0000, 0.0000, 0.0000) and Rb at (0.0000, 0.0000, 0.2222).

The calculation puts the energy relative to the lowest polymorph listed for this composition at 0.02 eV per formula unit. The calculation puts the formation energy at 24 meV per atom. Its uncorrected energy is -0.956 eV per atom.

---

# 2
Rb: optimized geometry, GGA-PBE.

The space group is I-43m (No. 217) and the conventional cell measures 17.339, 17.339 and 17.339 Å, with angles of 90.00, 90.00 and 90.00 degrees. The inequivalent atoms are Rb at (0.000, 0.000, 0.000), Rb at (0.042, 0.360, 0.360), Rb at (0.092, 0.092, 0.282) and Rb at (0.182, 0.182, 0.818).

The calculation puts the energy relative to the lowest polymorph listed for this composition at 0.04 eV per formula unit. The calculation puts the formation energy at 39 meV per atom. Its uncorrected energy is -0.941 eV per atom.

---

# 3
Rb: optimized geometry, GGA-PBE.

The space group is Im-3m (No. 229) and the conventional cell measures 5.644, 5.644 and 5.644 Å, with angles of 90.00, 90.00 and 90.00 degrees. The inequivalent atoms are Rb at (0.000, 0.000, 0.000).

The calculation puts the energy relative to the lowest polymorph listed for this composition at 0.01 eV per formula unit. The calculation puts the formation energy at 9 meV per atom. Its uncorrected energy is -0.971 eV per atom.

---

# 4
Rb: optimized geometry, GGA-PBE.

The space group is C2/c (No. 15) and the conventional cell measures 23.957, 7.839 and 8.007 Å, with angles of 90.00, 106.17 and 90.00 degrees. The inequivalent atoms are Rb at (0.064, 0.236, 0.059) and Rb at (0.189, 0.274, 0.686).

The calculation puts the energy relative to the lowest polymorph listed for this composition at 0.00 eV per formula unit. The calculation puts the formation energy at 0 meV per atom. Its uncorrected energy is -0.981 eV per atom.

---

# 5
Rb: optimized geometry, GGA-PBE.

The space group is Pm-3n (No. 223) and the conventional cell measures 9.005, 9.005 and 9.005 Å, with angles of 90.00, 90.00 and 90.00 degrees. The inequivalent atoms are Rb at (0.000, 0.000, 0.000) and Rb at (0.000, 0.250, 0.500).

The calculation puts the energy relative to the lowest polymorph listed for this composition at 0.04 eV per formula unit. The calculation puts the formation energy at 36 meV per atom. Its uncorrected energy is -0.944 eV per atom.

---

# 6
Rb: optimized geometry, GGA-PBE.

The space group is I4/mmm (No. 139) and the conventional cell measures 4.938, 4.938 and 7.461 Å, with angles of 90.00, 90.00 and 90.00 degrees. The inequivalent atoms are Rb at (0.000, 0.000, 0.000).

The calculation puts the energy relative to the lowest polymorph listed for this composition at 0.02 eV per formula unit. The calculation puts the formation energy at 17 meV per atom. Its uncorrected energy is -0.964 eV per atom.

---

# 7
Rb: optimized geometry, GGA-PBE.

The space group is I4/mmm (No. 139) and the conventional cell measures 5.836, 5.836 and 5.302 Å, with angles of 90.00, 90.00 and 90.00 degrees. The inequivalent atoms are Rb at (0.000, 0.000, 0.000).

The calculation puts the energy relative to the lowest polymorph listed for this composition at 0.01 eV per formula unit. The calculation puts the formation energy at 7 meV per atom. Its uncorrected energy is -0.973 eV per atom.

---

# 8
Rb: optimized geometry, GGA-PBE.

The space group is Fddd (No. 70, origin choice 2) and the conventional cell measures 4.870, 15.343 and 26.101 Å, with angles of 90.00, 90.00 and 90.00 degrees. The inequivalent atoms are Rb at (0.125, 0.125, 0.292).

The calculation puts the energy relative to the lowest polymorph listed for this composition at 0.18 eV per formula unit. The calculation puts the formation energy at 181 meV per atom. Its uncorrected energy is -0.799 eV per atom.